Yb2InPd2: relaxed, r2SCAN.

a = 7.6697 Å, b = 7.6697 Å, c = 3.5516 Å
α = 90.00°, β = 90.00°, γ = 90.00°
Positions (direct):
Pd 0.8713 0.3713 0.0000
Pd 0.1287 0.6287 0.0000
Pd 0.6287 0.8713 0.0000
Pd 0.3713 0.1287 0.0000
Yb 0.6717 0.1717 0.5000
Yb 0.1717 0.3283 0.5000
Yb 0.3283 0.8283 0.5000
Yb 0.8283 0.6717 0.5000
In 0.5000 0.5000 0.0000
In 0.0000 0.0000 0.0000

Properties
Calculated total energy (eV/atom): -29.278
Crystal system: tetragonal
Formation enthalpy at 0 K (kJ/mol of formula units): -466
Total magnetization (μB per atom): 0.000
Mass density (g/cm³): 10.710